Compound: InAgTe2
Source: Materials Project
Functional: PBE-GGA
Structure: relaxed

Properties
Total energy after the MP2020 corrections (eV per atom): -3.465
Space-group type: No. 122
Maximum piezoelectric response (C/m²): 1.15

a b c (Å): 7.971 7.971 7.971
angles (deg): 131.15 131.15 71.57
Atoms (fractional coordinates):
In 0.000 0.000 0.000
In 0.750 0.250 0.500
Ag 0.250 0.750 0.500
Ag 0.500 0.500 0.000
Te 0.130 0.625 0.005
Te 0.375 0.380 0.505
Te 0.620 0.125 0.995
Te 0.875 0.870 0.495



Compound: InAgTe2
Source: Materials Project
Functional: PBE-GGA
Structure: relaxed

Properties
Total energy after the MP2020 corrections (eV per atom): -3.190
Space-group type: No. 156
Total magnetic moment (μB/f.u.): 0.00

a b c (Å): 4.790 4.790 43.910
angles (deg): 90.00 90.00 120.00
Atoms (fractional coordinates):
In 0.000 0.000 0.000
In 0.000 0.000 0.255
In 0.333 0.667 0.085
In 0.333 0.667 0.347
In 0.667 0.333 0.169
In 0.667 0.333 0.913
Ag 0.000 0.000 0.504
Ag 0.000 0.000 0.751
Ag 0.333 0.667 0.586
Ag 0.333 0.667 0.825
Ag 0.667 0.333 0.423
Ag 0.667 0.333 0.669
Te 0.000 0.000 0.067
Te 0.000 0.000 0.322
Te 0.000 0.000 0.569
Te 0.000 0.000 0.814
Te 0.333 0.667 0.152
Te 0.333 0.667 0.410
Te 0.333 0.667 0.651
Te 0.333 0.667 0.891
Te 0.667 0.333 0.236
Te 0.667 0.333 0.487
Te 0.667 0.333 0.733
Te 0.667 0.333 0.981



Compound: In5AgTe8
Source: Materials Project
Functional: PBE-GGA
Structure: relaxed

Properties
Total energy after the MP2020 corrections (eV per atom): -3.528
Space-group type: No. 111

a b c (Å): 6.326 6.326 12.846
angles (deg): 90.00 90.00 90.00
Atoms (fractional coordinates):
In 0.000 0.000 0.000
In 0.000 0.500 0.255
In 0.000 0.500 0.745
In 0.500 0.000 0.255
In 0.500 0.000 0.745
Ag 0.500 0.500 0.500
Te 0.229 0.229 0.613
Te 0.229 0.771 0.387
Te 0.277 0.277 0.112
Te 0.277 0.723 0.888
Te 0.723 0.277 0.888
Te 0.723 0.723 0.112
Te 0.771 0.229 0.387
Te 0.771 0.771 0.613



Compound: InAgTe2
Source: Materials Project
Functional: PBE-GGA
Structure: relaxed

Properties
Total energy after the MP2020 corrections (eV per atom): -3.348
Space-group type: No. 166
Total magnetic moment (μB/f.u.): 0.00

a b c (Å): 7.385 7.385 7.385
angles (deg): 33.83 33.83 33.83
Atoms (fractional coordinates):
In 0.000 0.000 0.000
Ag 0.500 0.500 0.500
Te 0.248 0.248 0.248
Te 0.752 0.752 0.752



Compound: In5AgTe8
Source: Materials Project
Functional: PBE-GGA
Structure: relaxed

Properties
Total energy after the MP2020 corrections (eV per atom): -3.529
Space-group type: No. 5

a b c (Å): 7.765 7.765 9.178
angles (deg): 90.23 90.23 107.80
Atoms (fractional coordinates):
In 0.000 0.000 0.000
In 0.001 0.520 0.753
In 0.480 0.520 0.500
In 0.480 0.999 0.247
In 0.991 0.009 0.500
Ag 0.491 0.509 0.000
Te 0.337 0.622 0.246
Te 0.378 0.128 0.519
Te 0.378 0.663 0.754
Te 0.379 0.129 0.986
Te 0.839 0.131 0.751
Te 0.869 0.161 0.249
Te 0.871 0.621 0.014
Te 0.872 0.622 0.481



Compound: InAgTe2
Source: Materials Project
Functional: PBE-GGA
Structure: relaxed

Properties
Total energy after the MP2020 corrections (eV per atom): -3.338
Space-group type: No. 123
Total magnetic moment (μB/f.u.): 0.00

a b c (Å): 4.303 4.303 6.004
angles (deg): 90.00 90.00 90.00
Atoms (fractional coordinates):
In 0.000 0.000 0.000
Ag 0.500 0.500 0.500
Te 0.000 0.000 0.500
Te 0.500 0.500 0.000



Compound: InAgTe2
Source: Materials Project
Functional: PBE-GGA
Structure: relaxed

Properties
Total energy after the MP2020 corrections (eV per atom): -3.459
Space-group type: No. 115

a b c (Å): 4.610 4.610 6.629
angles (deg): 90.00 90.00 90.00
Atoms (fractional coordinates):
In 0.000 0.000 0.000
Ag 0.500 0.500 0.500
Te 0.000 0.500 0.259
Te 0.500 0.000 0.741



Compound: TmInAg2
Source: Materials Project
Functional: PBE-GGA
Structure: relaxed

Properties
Space-group type: No. 225

a b c (Å): 4.930 4.930 4.930
angles (deg): 60.00 60.00 60.00
Atoms (fractional coordinates):
Tm 0.000 0.000 0.000
In 0.500 0.500 0.500
Ag 0.250 0.250 0.250
Ag 0.750 0.750 0.750



Compound: La2AgIr
Source: Materials Project
Functional: PBE-GGA
Structure: relaxed

Properties
Space-group type: No. 225
Total magnetic moment (μB/f.u.): 0.00

a b c (Å): 5.225 5.225 5.225
angles (deg): 60.00 60.00 60.00
Atoms (fractional coordinates):
La 0.250 0.250 0.250
La 0.750 0.750 0.750
Ag 0.000 0.000 0.000
Ir 0.500 0.500 0.500



Compound: LiAg3Ir2O6
Source: Materials Project
Functional: PBE-GGA
Structure: relaxed

Properties
Total energy after the MP2020 corrections (eV per atom): -5.838
Space-group type: No. 12
Total magnetic moment (μB/f.u.): 2.00

a b c (Å): 5.340 5.340 6.632
angles (deg): 97.74 97.74 119.87
Atoms (fractional coordinates):
Li 0.000 0.000 0.000
Ag 0.170 0.830 0.500
Ag 0.500 0.500 0.500
Ag 0.830 0.170 0.500
Ir 0.333 0.667 0.000
Ir 0.667 0.333 0.000
O 0.054 0.701 0.164
O 0.299 0.946 0.836
O 0.409 0.409 0.165
O 0.591 0.591 0.835
O 0.701 0.054 0.164
O 0.946 0.299 0.836



Compound: Lu2AgIr
Source: Materials Project
Functional: PBE-GGA
Structure: relaxed

Properties
Space-group type: No. 225

a b c (Å): 4.873 4.873 4.873
angles (deg): 60.00 60.00 60.00
Atoms (fractional coordinates):
Lu 0.250 0.250 0.250
Lu 0.750 0.750 0.750
Ag 0.000 0.000 0.000
Ir 0.500 0.500 0.500



Compound: Mg2AgIr
Source: Materials Project
Functional: PBE-GGA
Structure: relaxed

Properties
Space-group type: No. 225

a b c (Å): 4.541 4.541 4.541
angles (deg): 60.00 60.00 60.00
Atoms (fractional coordinates):
Mg 0.250 0.250 0.250
Mg 0.750 0.750 0.750
Ag 0.000 0.000 0.000
Ir 0.500 0.500 0.500



Summary of calculated total energy in eV/cell
-26.033 -71.485 -46.012 -12.548 -46.025 -12.510 -12.990 -14.295 -23.410 -65.934 -23.494 -16.078
(order as listed above)